Record 1
A plane-wave DFT calculation with GGA-PBE was carried out for a relaxed structure of InAgSe2.

The structure belongs to space group I-42d (No. 122); the cell edges are 6.218, 6.218 and 12.011 Å and the angles 90.00°, 90.00° and 90.00°. The inequivalent atoms are In at (0.000, 0.000, 0.000), Ag at (0.000, 0.000, 0.500) and Se at (0.246, 0.250, 0.125).

The value obtained for the final energy is -3.56 eV/atom. The calculation puts the maximum piezoelectric response at 0.204 C/m². The calculation puts the formation energy at -15.121 kcal/mol of atoms.

***

Record 2
A plane-wave DFT calculation with GGA-PBE was carried out for a relaxed structure of InAgSnSe4.

The structure belongs to space group I-4 (No. 82); the cell edges are 6.028, 6.028 and 11.450 Å and the angles 90.00°, 90.00° and 90.00°. The inequivalent atoms are In at (0.000, 0.000, 0.000), Ag at (0.000, 0.500, 0.250), Sn at (0.000, 0.500, 0.750) and Se at (0.223, 0.761, 0.614).

The value obtained for the final energy is -3.75 eV/atom. The calculation puts the formation energy at -15.085 kcal/mol of atoms.

***

Question: Which of these has the highest final energy?
Answer: InAgSe2

***

Question: Which value of formation energy does entry 2 give?
Answer: -15.085 kcal/mol of atoms